Below is a relaxed TbGaPd crystal, with properties calculated at the PBE level.

Cell lengths 6.9779, 4.4911, 7.6808 Å; angles 90.00, 90.00, 90.00 degrees
Sites, in units of the cell vectors:
Tb 0.0173 0.2500 0.1982
Tb 0.4827 0.7500 0.6982
Tb 0.5173 0.2500 0.3018
Tb 0.9827 0.7500 0.8018
Ga 0.1756 0.2500 0.5760
Ga 0.3244 0.7500 0.0760
Ga 0.6756 0.2500 0.9240
Ga 0.8244 0.7500 0.4240
Pd 0.2191 0.7500 0.4036
Pd 0.2809 0.2500 0.9036
Pd 0.7191 0.7500 0.0964
Pd 0.7809 0.2500 0.5964

Summary:
The calculated total energy comes out at -5.17 eV per atom.